[1]
# La2TeMo6O44

A geometry-optimized La2TeMo6O44 structure (PBE+U, the Materials Project).

abc: 8.679 9.854 12.015
angles: 77.87 83.13 71.27
Positions (direct):
La  0.237  0.228  0.216
La  0.763  0.772  0.784
Te  0.000  0.000  0.000
Mo  0.081  0.101  0.710
Mo  0.239  0.660  0.161
Mo  0.298  0.766  0.882
Mo  0.702  0.234  0.118
Mo  0.761  0.340  0.839
Mo  0.919  0.899  0.290
O  0.007  0.540  0.954
O  0.023  0.803  0.721
O  0.024  0.723  0.232
O  0.039  0.885  0.399
O  0.073  0.793  0.997
O  0.124  0.358  0.372
O  0.126  0.869  0.750
O  0.142  0.941  0.141
O  0.151  0.503  0.483
O  0.179  0.006  0.886
O  0.208  0.379  0.454
O  0.237  0.033  0.147
O  0.256  0.479  0.150
O  0.264  0.116  0.646
O  0.300  0.270  0.940
O  0.300  0.602  0.854
O  0.351  0.017  0.411
O  0.356  0.647  0.269
O  0.366  0.888  0.447
O  0.378  0.203  0.865
O  0.378  0.714  0.031
O  0.471  0.808  0.803
O  0.529  0.192  0.197
O  0.622  0.286  0.969
O  0.622  0.797  0.135
O  0.634  0.112  0.553
O  0.644  0.353  0.731
O  0.649  0.983  0.589
O  0.700  0.398  0.146
O  0.700  0.730  0.060
O  0.736  0.884  0.354
O  0.744  0.521  0.850
O  0.763  0.967  0.853
O  0.792  0.621  0.546
O  0.821  0.994  0.114
O  0.849  0.497  0.517
O  0.858  0.059  0.859
O  0.874  0.131  0.250
O  0.876  0.642  0.628
O  0.927  0.207  0.003
O  0.961  0.115  0.601
O  0.976  0.277  0.768
O  0.977  0.197  0.279
O  0.993  0.460  0.046

Total moment   11.82 Bohr magnetons per cell
Calculated formation energy   -866 meV/atom
ρ   2.9 g cm⁻³

[2]
# SmMoI4O15

A geometry-optimized SmMoI4O15 structure (PBE+U, the Materials Project).

abc: 7.042 14.174 7.165
angles: 90.00 114.06 90.00
Positions (direct):
Sm  0.078  0.000  0.423
Sm  0.922  0.500  0.577
Mo  0.416  0.333  0.217
Mo  0.584  0.833  0.783
I  0.148  0.870  0.951
I  0.235  0.249  0.695
I  0.238  0.593  0.142
I  0.478  0.090  0.239
I  0.522  0.590  0.761
I  0.762  0.093  0.858
I  0.765  0.749  0.305
I  0.852  0.370  0.049
O  0.039  0.601  0.881
O  0.043  0.343  0.602
O  0.068  0.148  0.585
O  0.092  0.969  0.771
O  0.225  0.938  0.187
O  0.233  0.428  0.062
O  0.235  0.241  0.957
O  0.248  0.720  0.212
O  0.265  0.292  0.346
O  0.285  0.522  0.642
O  0.386  0.903  0.605
O  0.395  0.087  0.452
O  0.401  0.710  0.705
O  0.421  0.846  0.991
O  0.479  0.598  0.100
O  0.521  0.098  0.900
O  0.579  0.346  0.009
O  0.599  0.210  0.295
O  0.605  0.587  0.548
O  0.614  0.403  0.395
O  0.715  0.022  0.358
O  0.735  0.792  0.654
O  0.752  0.220  0.788
O  0.765  0.741  0.043
O  0.767  0.928  0.938
O  0.775  0.438  0.813
O  0.908  0.469  0.229
O  0.932  0.648  0.415
O  0.957  0.843  0.398
O  0.961  0.101  0.119

Total moment   2.01 Bohr magnetons per cell
Calculated formation energy   -1369 meV/atom
ρ   5.1 g cm⁻³

[3]
# Li2Ti2V3O10

A geometry-optimized Li2Ti2V3O10 structure (PBE+U, the Materials Project).

abc: 5.154 8.178 10.234
angles: 111.28 102.89 93.04
Positions (direct):
Li  0.134  0.194  0.091
Li  0.357  0.307  0.410
Li  0.643  0.693  0.590
Li  0.866  0.806  0.909
Ti  0.206  0.909  0.726
Ti  0.290  0.597  0.784
Ti  0.710  0.403  0.216
Ti  0.794  0.091  0.274
V  0.000  0.500  0.000
V  0.060  0.213  0.602
V  0.434  0.292  0.899
V  0.500  0.000  0.500
V  0.566  0.708  0.101
V  0.940  0.787  0.398
O  0.003  0.287  0.275
O  0.090  0.368  0.806
O  0.123  0.049  0.410
O  0.206  0.703  0.983
O  0.225  0.079  0.900
O  0.264  0.411  0.603
O  0.278  0.785  0.496
O  0.384  0.462  0.098
O  0.388  0.120  0.685
O  0.497  0.784  0.769
O  0.503  0.216  0.231
O  0.612  0.880  0.315
O  0.616  0.538  0.902
O  0.722  0.215  0.504
O  0.736  0.589  0.397
O  0.775  0.921  0.100
O  0.794  0.297  0.017
O  0.877  0.951  0.590
O  0.910  0.632  0.194
O  0.997  0.713  0.725

Total moment   2.00 Bohr magnetons per cell
Calculated formation energy   -2816 meV/atom
E above lowest polymorph   0.002 eV per atom
ρ   3.6 g cm⁻³

[4]
# Li3NiPCO7

A geometry-optimized Li3NiPCO7 structure (PBE+U, the Materials Project).

abc: 4.945 8.350 12.836
angles: 90.41 90.10 94.80
Positions (direct):
Li  0.000  0.000  0.000
Li  0.000  0.000  0.493
Li  0.453  0.447  0.491
Li  0.465  0.200  0.251
Li  0.469  0.196  0.746
Li  0.477  0.818  0.604
Li  0.480  0.819  0.384
Li  0.480  0.819  0.885
Li  0.482  0.823  0.116
Li  0.985  0.372  0.869
Li  0.988  0.378  0.135
Li  0.999  0.379  0.363
Ni  0.026  0.765  0.247
Ni  0.027  0.766  0.746
Ni  0.443  0.431  0.998
Ni  0.985  0.365  0.618
P  0.505  0.512  0.745
P  0.511  0.512  0.247
P  0.948  0.686  0.498
P  0.954  0.684  0.996
C  0.529  0.140  0.505
C  0.531  0.138  0.995
C  0.937  0.058  0.247
C  0.940  0.060  0.745
O  0.056  0.789  0.902
O  0.057  0.517  0.498
O  0.058  0.791  0.089
O  0.061  0.787  0.404
O  0.061  0.792  0.592
O  0.064  0.517  0.995
O  0.186  0.022  0.247
O  0.187  0.024  0.747
O  0.280  0.172  0.503
O  0.282  0.175  0.995
O  0.386  0.408  0.653
O  0.402  0.680  0.246
O  0.407  0.681  0.749
O  0.408  0.407  0.152
O  0.412  0.408  0.340
O  0.418  0.408  0.841
O  0.592  0.990  0.996
O  0.596  0.993  0.496
O  0.636  0.669  0.499
O  0.638  0.661  0.995
O  0.723  0.255  0.512
O  0.723  0.255  0.994
O  0.746  0.947  0.748
O  0.747  0.940  0.246
O  0.824  0.529  0.736
O  0.828  0.537  0.245
O  0.874  0.205  0.247
O  0.879  0.210  0.740

Total moment   8.00 Bohr magnetons per cell
Calculated formation energy   -2279 meV/atom
E above lowest polymorph   0.015 eV per atom
ρ   2.9 g cm⁻³

[5]
# NaMn4O8

A geometry-optimized NaMn4O8 structure (PBE+U, the Materials Project).

abc: 9.795 5.950 13.942
angles: 90.00 133.20 90.00
Positions (direct):
Na  0.101  0.131  0.337
Na  0.101  0.369  0.837
Na  0.899  0.631  0.163
Na  0.899  0.869  0.663
Mn  0.183  0.125  0.590
Mn  0.183  0.375  0.090
Mn  0.184  0.626  0.587
Mn  0.184  0.874  0.087
Mn  0.473  0.626  0.395
Mn  0.473  0.874  0.895
Mn  0.482  0.124  0.399
Mn  0.482  0.376  0.899
Mn  0.518  0.624  0.101
Mn  0.518  0.876  0.601
Mn  0.527  0.126  0.105
Mn  0.527  0.374  0.605
Mn  0.816  0.126  0.913
Mn  0.816  0.374  0.413
Mn  0.817  0.625  0.910
Mn  0.817  0.875  0.410
O  0.062  0.621  0.959
O  0.062  0.879  0.459
O  0.064  0.128  0.961
O  0.064  0.372  0.461
O  0.270  0.626  0.207
O  0.270  0.874  0.707
O  0.274  0.124  0.209
O  0.274  0.376  0.709
O  0.352  0.614  0.910
O  0.352  0.886  0.410
O  0.359  0.134  0.913
O  0.359  0.366  0.413
O  0.387  0.124  0.598
O  0.387  0.376  0.098
O  0.392  0.627  0.601
O  0.392  0.873  0.101
O  0.608  0.127  0.899
O  0.608  0.373  0.399
O  0.613  0.624  0.902
O  0.613  0.876  0.402
O  0.641  0.634  0.587
O  0.641  0.866  0.087
O  0.648  0.114  0.590
O  0.648  0.386  0.090
O  0.726  0.624  0.291
O  0.726  0.876  0.791
O  0.730  0.126  0.293
O  0.730  0.374  0.793
O  0.936  0.628  0.539
O  0.936  0.872  0.039
O  0.938  0.121  0.541
O  0.938  0.379  0.041

Total moment   52.00 Bohr magnetons per cell
Calculated formation energy   -1912 meV/atom
ρ   4.2 g cm⁻³

[6]
# Fe41O56

A geometry-optimized Fe41O56 structure (PBE+U, the Materials Project).

abc: 10.438 10.438 10.438
angles: 99.57 99.57 99.57
Positions (direct):
Fe  0.000  0.000  0.000
Fe  0.020  0.943  0.661
Fe  0.039  0.896  0.322
Fe  0.090  0.732  0.799
Fe  0.091  0.233  0.304
Fe  0.091  0.233  0.805
Fe  0.147  0.570  0.290
Fe  0.163  0.516  0.948
Fe  0.183  0.463  0.603
Fe  0.233  0.304  0.091
Fe  0.233  0.805  0.091
Fe  0.235  0.802  0.589
Fe  0.290  0.147  0.570
Fe  0.304  0.091  0.233
Fe  0.322  0.039  0.896
Fe  0.375  0.375  0.375
Fe  0.375  0.378  0.875
Fe  0.378  0.875  0.375
Fe  0.433  0.715  0.853
Fe  0.450  0.655  0.517
Fe  0.463  0.603  0.183
Fe  0.516  0.948  0.163
Fe  0.517  0.450  0.655
Fe  0.522  0.946  0.662
Fe  0.570  0.290  0.147
Fe  0.589  0.235  0.802
Fe  0.603  0.183  0.463
Fe  0.655  0.517  0.450
Fe  0.661  0.020  0.943
Fe  0.662  0.522  0.946
Fe  0.715  0.853  0.433
Fe  0.732  0.799  0.090
Fe  0.799  0.090  0.732
Fe  0.802  0.589  0.235
Fe  0.805  0.091  0.233
Fe  0.853  0.433  0.715
Fe  0.875  0.375  0.378
Fe  0.896  0.322  0.039
Fe  0.943  0.661  0.020
Fe  0.946  0.662  0.522
Fe  0.948  0.163  0.516
O  0.039  0.330  0.475
O  0.051  0.839  0.486
O  0.058  0.828  0.980
O  0.061  0.340  0.977
O  0.116  0.124  0.629
O  0.119  0.635  0.627
O  0.124  0.629  0.116
O  0.127  0.127  0.127
O  0.192  0.909  0.768
O  0.197  0.405  0.267
O  0.197  0.405  0.782
O  0.207  0.908  0.266
O  0.260  0.698  0.911
O  0.266  0.207  0.908
O  0.267  0.197  0.405
O  0.286  0.700  0.415
O  0.330  0.475  0.039
O  0.340  0.977  0.061
O  0.351  0.978  0.553
O  0.358  0.490  0.553
O  0.405  0.267  0.197
O  0.405  0.782  0.197
O  0.415  0.286  0.700
O  0.421  0.769  0.686
O  0.475  0.039  0.330
O  0.486  0.051  0.839
O  0.487  0.545  0.834
O  0.490  0.553  0.358
O  0.545  0.834  0.487
O  0.553  0.351  0.978
O  0.553  0.358  0.490
O  0.563  0.847  0.990
O  0.603  0.603  0.603
O  0.627  0.119  0.635
O  0.629  0.116  0.124
O  0.635  0.627  0.119
O  0.686  0.421  0.769
O  0.689  0.939  0.775
O  0.698  0.911  0.260
O  0.700  0.415  0.286
O  0.768  0.192  0.909
O  0.769  0.686  0.421
O  0.775  0.689  0.939
O  0.782  0.197  0.405
O  0.828  0.980  0.058
O  0.834  0.487  0.545
O  0.839  0.486  0.051
O  0.847  0.990  0.563
O  0.908  0.266  0.207
O  0.909  0.768  0.192
O  0.911  0.260  0.698
O  0.939  0.775  0.689
O  0.977  0.061  0.340
O  0.978  0.553  0.351
O  0.980  0.058  0.828
O  0.990  0.563  0.847

Total moment   194.00 Bohr magnetons per cell
Calculated formation energy   -1571 meV/atom
ρ   4.9 g cm⁻³

Q: The highest ρ belongs to which entry?
A: SmMoI4O15

Q: Which formula does entry 5 have?
A: NaMn4O8